1.
First-principles (PBE) data for a relaxed structure of Ta2Ti2Ni2C, as listed in the Materials Project.

Computed properties:
- Total DFT energy (no corrections): -254.6 eV per cell

a b c (Å): 8.151 8.151 8.151
angles (deg): 119.81 119.81 90.32
Sites, in units of the cell vectors:
C 0.622 0.871 0.249
C 0.129 0.378 0.751
C 0.627 0.378 0.249
C 0.622 0.373 0.751
Ta 0.568 0.068 0.135
Ta 0.567 0.067 0.500
Ta 0.932 0.068 0.500
Ta 0.315 0.315 0.000
Ta 0.685 0.685 0.000
Ta 0.933 0.433 0.500
Ta 0.568 0.432 0.500
Ta 0.932 0.432 0.865
Ni 0.988 0.662 0.326
Ni 0.335 0.662 0.674
Ni 0.241 0.080 0.160
Ni 0.338 0.665 0.326
Ni 0.920 0.080 0.840
Ni 0.338 0.012 0.674
Ni 0.920 0.080 0.160
Ni 0.920 0.759 0.840
Ti 0.126 0.875 0.749
Ti 0.125 0.874 0.251
Ti 0.683 0.683 0.366
Ti 0.126 0.378 0.251
Ti 0.317 0.317 0.634
Ti 0.622 0.874 0.749
Ti 0.317 0.683 0.000
Ti 0.683 0.317 0.000

***

2.
First-principles (PBE) data for a relaxed structure of Na8Hf3MgSi5SO24, as listed in the Materials Project.

Computed properties:
- Total DFT energy (no corrections): -902.9 eV per cell

a b c (Å): 9.227 9.226 22.456
angles (deg): 89.95 90.14 119.93
Sites, in units of the cell vectors:
O 0.304 0.479 0.753
O 0.539 0.703 0.252
O 0.309 0.843 0.252
O 0.489 0.118 0.642
O 0.527 0.845 0.472
O 0.888 0.519 0.146
O 0.647 0.498 0.923
O 0.981 0.188 0.312
O 0.680 0.539 0.249
O 0.833 0.820 0.586
O 0.152 0.460 0.976
O 0.167 0.981 0.913
O 0.975 0.180 0.584
O 0.023 0.202 0.195
O 0.192 0.179 0.808
O 0.151 0.689 0.475
O 0.818 0.016 0.808
O 0.509 0.875 0.355
O 0.188 0.979 0.198
O 0.511 0.639 0.859
O 0.805 0.793 0.306
O 0.502 0.148 0.923
O 0.794 0.810 0.198
O 0.798 0.976 0.690
O 0.337 0.843 0.578
O 0.465 0.153 0.525
O 0.457 0.148 0.251
O 0.837 0.516 0.745
O 0.130 0.490 0.859
O 0.539 0.690 0.976
O 0.697 0.160 0.030
O 0.174 0.693 0.753
O 0.882 0.355 0.636
O 0.173 0.183 0.413
O 0.362 0.492 0.359
O 0.013 0.827 0.410
O 0.189 0.166 0.090
O 0.859 0.318 0.529
O 0.831 0.014 0.091
O 0.131 0.484 0.578
O 0.153 0.656 0.078
O 0.978 0.796 0.808
O 0.018 0.184 0.913
O 0.026 0.821 0.691
O 0.853 0.354 0.922
O 0.843 0.542 0.029
O 0.468 0.308 0.030
O 0.349 0.497 0.080
O 0.202 0.002 0.306
O 0.186 0.026 0.586
O 0.497 0.651 0.579
O 0.694 0.540 0.525
O 0.647 0.150 0.421
O 0.521 0.828 0.753
O 0.177 0.204 0.690
O 0.507 0.363 0.420
O 0.503 0.847 0.078
O 0.128 0.635 0.358
O 0.815 0.833 0.914
O 0.309 0.466 0.475
O 0.853 0.491 0.421
O 0.833 0.321 0.248
O 0.176 0.489 0.252
O 0.475 0.312 0.749
O 0.629 0.111 0.147
O 0.986 0.820 0.093
O 0.309 0.846 0.976
O 0.487 0.362 0.148
O 0.637 0.514 0.643
O 0.362 0.871 0.859
O 0.810 0.977 0.414
O 0.689 0.167 0.746
Si 0.629 0.665 0.917
Si 0.000 0.701 0.750
Si 0.034 0.664 0.417
Si 0.662 0.036 0.087
Si 0.293 0.295 0.750
Si 0.038 0.371 0.916
Si 0.335 0.963 0.917
Si 0.331 0.370 0.418
Si 0.999 0.298 0.254
Si 0.371 0.037 0.585
Si 0.666 0.630 0.585
Si 0.705 0.000 0.749
Si 0.965 0.631 0.087
Si 0.380 0.338 0.088
Si 0.629 0.964 0.415
Na 0.385 0.015 0.746
Na 0.685 0.331 0.333
Na 0.001 0.999 0.994
Na 0.327 0.337 0.593
Na 0.325 0.658 0.159
Na 0.650 0.027 0.245
Na 0.001 0.992 0.493
Na 0.984 0.608 0.240
Na 0.032 0.707 0.583
Na 0.345 0.677 0.672
Na 0.335 0.300 0.913
Na 0.966 0.665 0.914
Na 0.699 0.035 0.913
Na 0.655 0.964 0.596
Na 0.715 0.683 0.420
Na 0.985 0.365 0.753
Na 0.311 0.972 0.077
Na 0.316 0.027 0.420
Na 0.666 0.690 0.076
Na 0.666 0.333 0.825
Na 0.363 0.361 0.237
Na 0.026 0.344 0.079
Na 0.633 0.615 0.745
Na 0.964 0.284 0.408
Hf 0.658 0.336 0.479
Hf 0.334 0.666 0.018
Hf 0.998 0.997 0.852
Hf 0.002 0.993 0.649
Hf 0.003 0.013 0.144
Hf 0.327 0.660 0.318
Hf 0.670 0.335 0.982
Hf 0.339 0.673 0.517
Hf 0.335 0.667 0.813
S 0.290 0.996 0.253
S 0.959 0.333 0.583
S 0.707 0.711 0.252
Mg 0.652 0.330 0.688
Mg 0.997 0.008 0.357
Mg 0.678 0.332 0.176

***

3.
First-principles (PBE) data for a relaxed structure of CsPSe6, as listed in the Materials Project.

Computed properties:
- Energy above the lowest structure with this stoichiometry: 9 meV per atom
- Total DFT energy (no corrections): -240.3 eV per cell

a b c (Å): 12.795 12.795 13.103
angles (deg): 90.00 90.00 90.00
Sites, in units of the cell vectors:
Se 0.714 0.423 0.699
Se 0.200 0.121 0.182
Se 0.712 0.869 0.495
Se 0.419 0.697 0.201
Se 0.798 0.113 0.292
Se 0.700 0.379 0.318
Se 0.581 0.303 0.201
Se 0.887 0.798 0.708
Se 0.838 0.599 0.530
Se 0.631 0.788 0.995
Se 0.379 0.300 0.682
Se 0.369 0.212 0.995
Se 0.214 0.077 0.801
Se 0.621 0.700 0.682
Se 0.303 0.419 0.799
Se 0.099 0.338 0.030
Se 0.113 0.202 0.708
Se 0.577 0.714 0.301
Se 0.923 0.214 0.199
Se 0.919 0.803 0.299
Se 0.401 0.838 0.470
Se 0.162 0.401 0.530
Se 0.212 0.631 0.005
Se 0.879 0.200 0.818
Se 0.202 0.887 0.292
Se 0.121 0.800 0.818
Se 0.300 0.621 0.318
Se 0.288 0.131 0.495
Se 0.599 0.162 0.470
Se 0.131 0.712 0.505
Se 0.077 0.786 0.199
Se 0.901 0.662 0.030
Se 0.869 0.288 0.505
Se 0.197 0.919 0.701
Se 0.613 0.298 0.792
Se 0.286 0.577 0.699
Se 0.803 0.081 0.701
Se 0.697 0.581 0.799
Se 0.338 0.901 0.970
Se 0.800 0.879 0.182
Se 0.662 0.099 0.970
Se 0.081 0.197 0.299
Se 0.387 0.702 0.792
Se 0.298 0.387 0.208
Se 0.702 0.613 0.208
Se 0.786 0.923 0.801
Se 0.423 0.286 0.301
Se 0.788 0.369 0.005
P 0.732 0.241 0.913
P 0.768 0.741 0.587
P 0.741 0.232 0.413
P 0.241 0.268 0.087
P 0.259 0.768 0.413
P 0.232 0.259 0.587
P 0.759 0.732 0.087
P 0.268 0.759 0.913
Cs 0.500 0.000 0.213
Cs 0.000 0.000 0.000
Cs 0.000 0.000 0.500
Cs 0.000 0.500 0.787
Cs 0.500 0.500 0.500
Cs 0.500 0.500 0.000
Cs 0.000 0.500 0.287
Cs 0.500 0.000 0.713

***

4.
First-principles (PBE) data for a relaxed structure of PtRhBr6N5Cl, as listed in the Materials Project.

Computed properties:
- Total DFT energy (no corrections): -205.8 eV per cell

a b c (Å): 9.521 9.277 17.330
angles (deg): 85.65 90.00 90.00
Sites, in units of the cell vectors:
N 0.559 0.359 0.897
N 0.250 0.864 0.009
N 0.388 0.997 0.597
N 0.250 0.496 0.154
N 0.250 0.785 0.712
N 0.892 0.325 0.425
N 0.441 0.641 0.103
N 0.750 0.197 0.815
N 0.750 0.504 0.846
N 0.608 0.325 0.425
N 0.750 0.136 0.991
N 0.250 0.803 0.185
N 0.392 0.675 0.575
N 0.750 0.215 0.288
N 0.108 0.675 0.575
N 0.112 0.997 0.597
N 0.941 0.359 0.897
N 0.888 0.003 0.403
N 0.059 0.641 0.103
N 0.612 0.003 0.403
Br 0.250 0.544 0.549
Br 0.413 0.932 0.194
Br 0.250 0.602 0.758
Br 0.913 0.068 0.806
Br 0.490 0.637 0.342
Br 0.010 0.637 0.342
Br 0.250 0.073 0.022
Br 0.750 0.772 0.709
Br 0.586 0.609 0.878
Br 0.087 0.932 0.194
Br 0.250 0.128 0.576
Br 0.587 0.068 0.806
Br 0.510 0.363 0.658
Br 0.250 0.203 0.785
Br 0.990 0.363 0.658
Br 0.750 0.797 0.215
Br 0.750 0.927 0.978
Br 0.086 0.391 0.122
Br 0.414 0.391 0.122
Br 0.750 0.872 0.424
Br 0.914 0.609 0.878
Br 0.750 0.398 0.242
Br 0.250 0.228 0.291
Br 0.750 0.456 0.451
Cl 0.250 0.571 0.964
Cl 0.750 0.429 0.036
Cl 0.250 0.859 0.463
Cl 0.750 0.141 0.537
Rh 0.750 0.169 0.395
Rh 0.750 0.293 0.920
Rh 0.250 0.707 0.080
Rh 0.250 0.831 0.605
Pt 0.750 0.632 0.332
Pt 0.250 0.368 0.668
Pt 0.250 0.162 0.157
Pt 0.750 0.838 0.843

***

5.
First-principles (PBE) data for a relaxed structure of NdMgAu2, as listed in the Materials Project.

Computed properties:
- Total DFT energy (no corrections): -15.9 eV per cell

a b c (Å): 5.037 5.037 5.037
angles (deg): 60.00 60.00 60.00
Sites, in units of the cell vectors:
Au 0.750 0.750 0.750
Au 0.250 0.250 0.250
Mg 0.500 0.500 0.500
Nd 0.000 0.000 0.000

***

6.
First-principles (PBE) data for a relaxed structure of Mg3Al18Mo2, as listed in the Materials Project.

Computed properties:
- Total DFT energy (no corrections): -194.7 eV per cell

a b c (Å): 10.384 10.384 10.384
angles (deg): 60.00 60.00 60.00
Sites, in units of the cell vectors:
Mo 0.625 0.125 0.125
Mo 0.125 0.125 0.625
Mo 0.125 0.125 0.125
Mo 0.125 0.625 0.125
Al 0.566 0.301 0.832
Al 0.301 0.832 0.301
Al 0.949 0.418 0.684
Al 0.832 0.301 0.301
Al 0.949 0.949 0.418
Al 0.949 0.684 0.418
Al 0.141 0.859 0.859
Al 0.566 0.301 0.301
Al 0.684 0.949 0.949
Al 0.859 0.859 0.141
Al 0.109 0.391 0.391
Al 0.418 0.949 0.684
Al 0.566 0.832 0.301
Al 0.391 0.109 0.391
Al 0.391 0.391 0.109
Al 0.301 0.301 0.566
Al 0.301 0.301 0.832
Al 0.859 0.141 0.859
Al 0.141 0.859 0.141
Al 0.832 0.566 0.301
Al 0.859 0.141 0.141
Al 0.832 0.301 0.566
Al 0.418 0.684 0.949
Al 0.949 0.949 0.684
Al 0.684 0.949 0.418
Al 0.109 0.391 0.109
Al 0.301 0.566 0.301
Al 0.949 0.684 0.949
Al 0.301 0.566 0.832
Al 0.949 0.418 0.949
Al 0.301 0.832 0.566
Al 0.684 0.418 0.949
Al 0.391 0.109 0.109
Al 0.109 0.109 0.391
Al 0.418 0.949 0.949
Al 0.141 0.141 0.859
Mg 0.625 0.125 0.625
Mg 0.750 0.750 0.750
Mg 0.500 0.500 0.500
Mg 0.125 0.625 0.625
Mg 0.625 0.625 0.625
Mg 0.625 0.625 0.125

***

7.
First-principles (PBE) data for a relaxed structure of LiCuCO3, as listed in the Materials Project.

Computed properties:
- Energy above the lowest structure with this stoichiometry: 83 meV per atom
- Total DFT energy (no corrections): -112.9 eV per cell

a b c (Å): 8.194 8.194 3.159
angles (deg): 90.00 90.00 120.00
Sites, in units of the cell vectors:
O 0.903 0.817 0.500
O 0.594 0.151 0.500
O 0.914 0.097 0.500
O 0.557 0.406 0.500
O 0.268 0.782 0.000
O 0.218 0.485 0.000
O 0.849 0.443 0.500
O 0.183 0.086 0.500
O 0.515 0.732 0.000
Cu 0.967 0.665 0.000
Cu 0.335 0.302 0.000
Cu 0.698 0.033 0.000
C 0.333 0.667 0.000
C 0.000 0.000 0.500
C 0.667 0.333 0.500
Li 0.041 0.369 0.500
Li 0.631 0.671 0.500
Li 0.329 0.959 0.500

***

8.
First-principles (PBE) data for a relaxed structure of AlCuSnS4, as listed in the Materials Project.

Computed properties:
- Total DFT energy (no corrections): -65.5 eV per cell

a b c (Å): 7.267 7.267 7.267
angles (deg): 120.48 119.41 90.09
Sites, in units of the cell vectors:
Al 0.000 0.500 0.000
Al 0.000 0.000 0.500
S 0.228 0.749 0.478
S 0.762 0.262 0.001
S 0.229 0.251 0.978
S 0.238 0.239 0.501
S 0.771 0.749 0.022
S 0.238 0.738 0.999
S 0.762 0.761 0.499
S 0.772 0.251 0.522
Cu 0.380 0.630 0.750
Cu 0.620 0.370 0.250
Sn 0.500 0.000 0.500
Sn 0.000 0.000 0.000

***

9.
First-principles (PBE) data for a relaxed structure of SnO2, as listed in the Materials Project.

Computed properties:
- Total DFT energy (no corrections): -71.8 eV per cell

a b c (Å): 5.316 5.316 10.460
angles (deg): 90.00 90.00 144.73
Sites, in units of the cell vectors:
O 0.053 0.947 0.250
O 0.947 0.053 0.750
O 0.500 0.500 0.000
O 0.765 0.235 0.399
O 0.500 0.500 0.500
O 0.765 0.235 0.101
O 0.235 0.765 0.601
O 0.235 0.765 0.899
Sn 0.137 0.863 0.080
Sn 0.863 0.137 0.580
Sn 0.137 0.863 0.420
Sn 0.863 0.137 0.920